{"formula": "SmSn2", "functional": "r²SCAN", "state": "relaxed", "cell": [[2.220, -8.117, 0.000], [2.220, 8.117, 0.000], [0.000, 0.000, 4.529]], "species": ["Sm", "Sm", "Sn", "Sn", "Sn", "Sn"], "frac_coords": [[0.144, 0.856, 0.000], [0.856, 0.144, 0.000], [0.000, 0.000, 0.500], [0.312, 0.688, 0.500], [0.500, 0.500, 0.000], [0.688, 0.312, 0.500]], "magnetic_moment_mub_per_cell": 0.00, "vol_a3_per_atom": 27.2, "final_energy_ev_per_atom": -27.0789, "e_form_ev_per_atom": -0.670}